[1]
# P2Os

P2Os after structural relaxation (meta-GGA r2SCAN, the Materials Project).

a = 2.9456 Å, b = 5.0949 Å, c = 5.9069 Å
α = 90.00°, β = 90.00°, γ = 90.00°
Last column: nearest neighbours and their distance in Å.
Sites, in units of the cell vectors:
P 0.5000 0.6630 0.1268  1 P 2.24, 3 Os 2.36-2.38
P 0.5000 0.3370 0.8732  1 P 2.24, 3 Os 2.36-2.38
P 0.0000 0.1630 0.3732  1 P 2.24, 3 Os 2.36-2.38
P 0.0000 0.8370 0.6268  1 P 2.24, 3 Os 2.36-2.38
Os 0.5000 0.5000 0.5000  6 P 2.36-2.38
Os 0.0000 0.0000 0.0000  6 P 2.36-2.38

Properties
V	14.77	Å³/atom
DFT formation energy	-0.607	eV/atom
total magnetization	0.000	μB/f.u.

[2]
# PrP12Os4

PrP12Os4 after structural relaxation (meta-GGA r2SCAN, the Materials Project).

a = 7.0143 Å, b = 7.0143 Å, c = 7.0143 Å
α = 109.47°, β = 109.47°, γ = 109.47°
Last column: nearest neighbours and their distance in Å.
Sites, in units of the cell vectors:
P 0.3574 0.5006 0.1431  2 P 2.31-2.32, 2 Os 2.37
P 0.7857 0.1431 0.6426  2 P 2.31-2.32, 2 Os 2.37
P 0.3574 0.2143 0.8569  2 P 2.31-2.32, 2 Os 2.37
P 0.1431 0.6426 0.7857  2 P 2.31-2.32, 2 Os 2.37
P 0.6426 0.7857 0.1431  2 P 2.31-2.32, 2 Os 2.37
P 0.8569 0.6426 0.4994  2 P 2.31-2.32, 2 Os 2.37
P 0.1431 0.3574 0.5006  2 P 2.31-2.32, 2 Os 2.37
P 0.5006 0.1431 0.3574  2 P 2.31-2.32, 2 Os 2.37
P 0.2143 0.8569 0.3574  2 P 2.31-2.32, 2 Os 2.37
P 0.6426 0.4994 0.8569  2 P 2.31-2.32, 2 Os 2.37
P 0.8569 0.3574 0.2143  2 P 2.31-2.32, 2 Os 2.37
P 0.4994 0.8569 0.6426  2 P 2.31-2.32, 2 Os 2.37
Os 0.5000 0.0000 0.0000  6 P 2.37
Os 0.0000 0.0000 0.5000  6 P 2.37
Os 0.5000 0.5000 0.5000  6 P 2.37
Os 0.0000 0.5000 0.0000  6 P 2.37
Pr 0.0000 0.0000 0.0000  12 P 3.12

Properties
V	15.63	Å³/atom
DFT formation energy	-0.678	eV/atom
total magnetization	0.000	μB/f.u.

[3]
# SrP2Os2

SrP2Os2 after structural relaxation (meta-GGA r2SCAN, the Materials Project).

a = 4.0589 Å, b = 4.0589 Å, c = 6.3811 Å
α = 108.54°, β = 108.54°, γ = 90.00°
Last column: nearest neighbours and their distance in Å.
Sites, in units of the cell vectors:
Os 0.7500 0.2500 0.5000  4 P 2.33
Os 0.2500 0.7500 0.5000  4 P 2.33
Sr 0.0000 0.0000 0.0000  8 P 3.34, 8 Os 3.50
P 0.3498 0.3498 0.6997  4 Os 2.33
P 0.6502 0.6502 0.3003  4 Os 2.33

Properties
V	18.78	Å³/atom
DFT formation energy	-0.751	eV/atom
total magnetization	0.000	μB/f.u.

[4]
# ZrPOs

ZrPOs after structural relaxation (meta-GGA r2SCAN, the Materials Project).

a = 3.9163 Å, b = 6.4584 Å, c = 7.2994 Å
α = 90.00°, β = 90.00°, γ = 90.00°
Last column: nearest neighbours and their distance in Å.
Sites, in units of the cell vectors:
P 0.2500 0.7781 0.6225  4 Os 2.41-2.46
P 0.7500 0.2219 0.3775  4 Os 2.41-2.46
P 0.7500 0.7219 0.1225  4 Os 2.41-2.46
P 0.2500 0.2781 0.8775  4 Os 2.41-2.46
Os 0.7500 0.8470 0.4390  4 P 2.41-2.46
Os 0.2500 0.6530 0.9390  4 P 2.41-2.46
Os 0.2500 0.1530 0.5610  4 P 2.41-2.46
Os 0.7500 0.3470 0.0610  4 P 2.41-2.46
Zr 0.7500 0.4802 0.6788  5 P 2.76-2.78, 6 Os 2.92-3.01
Zr 0.2500 0.5198 0.3212  5 P 2.76-2.78, 6 Os 2.92-3.01
Zr 0.2500 0.0198 0.1788  5 P 2.76-2.78, 6 Os 2.92-3.01
Zr 0.7500 0.9802 0.8212  5 P 2.76-2.78, 6 Os 2.92-3.01

Properties
V	15.39	Å³/atom
DFT formation energy	-1.036	eV/atom
total magnetization	0.000	μB/f.u.

[5]
# Sc2OsPd

Sc2OsPd after structural relaxation (meta-GGA r2SCAN, the Materials Project).

a = 4.5847 Å, b = 4.5848 Å, c = 4.5848 Å
α = 60.00°, β = 60.00°, γ = 60.00°
Last column: nearest neighbours and their distance in Å.
Sites, in units of the cell vectors:
Sc 0.0000 0.0000 0.0000  4 Pd 2.81, 4 Os 2.81
Sc 0.5000 0.5000 0.5000  4 Pd 2.81, 4 Os 2.81
Os 0.2500 0.2500 0.2500  8 Sc 2.81
Pd 0.7500 0.7500 0.7500  8 Sc 2.81

Properties
V	17.03	Å³/atom
DFT formation energy	-0.728	eV/atom
total magnetization	0.000	μB/f.u.

[6]
# Tm2OsPd

Tm2OsPd after structural relaxation (meta-GGA r2SCAN, the Materials Project).

a = 4.7791 Å, b = 4.7791 Å, c = 4.7791 Å
α = 60.00°, β = 60.00°, γ = 60.00°
Last column: nearest neighbours and their distance in Å.
Sites, in units of the cell vectors:
Tm 0.5000 0.5000 0.5000  4 Pd 2.93, 4 Os 2.93
Tm 0.0000 0.0000 0.0000  4 Os 2.93, 4 Pd 2.93
Pd 0.7500 0.7500 0.7500  8 Tm 2.93
Os 0.2500 0.2500 0.2500  8 Tm 2.93

Properties
V	19.30	Å³/atom
DFT formation energy	-0.696	eV/atom
total magnetization	0.000	μB/f.u.